# Sr8MgP4I4O16

Sr8MgP4I4O16 after structural relaxation (PBE, Materials Project).

Cell lengths 9.192, 8.904, 9.795 Å; angles 89.08, 116.21, 91.29 degrees
Fractional coordinates of all 33 atoms:
Sr: 0.963 0.803 0.844
Sr: 0.473 0.346 0.294
Sr: 0.040 0.179 0.115
Sr: 0.461 0.681 0.878
Sr: 0.484 0.850 0.241
Sr: 0.042 0.326 0.746
Sr: 0.513 0.160 0.759
Sr: 0.964 0.666 0.225
Mg: 0.701 0.302 0.143
P: 0.231 0.561 0.040
P: 0.267 0.063 0.962
P: 0.771 0.449 0.921
P: 0.739 0.938 0.027
I: 0.220 0.365 0.481
I: 0.274 0.866 0.489
I: 0.793 0.617 0.500
I: 0.714 0.079 0.540
O: 0.171 0.580 0.864
O: 0.337 0.098 0.138
O: 0.877 0.415 0.097
O: 0.623 0.906 0.858
O: 0.784 0.619 0.895
O: 0.732 0.111 0.049
O: 0.198 0.396 0.073
O: 0.313 0.898 0.949
O: 0.319 0.176 0.870
O: 0.147 0.675 0.098
O: 0.688 0.834 0.129
O: 0.825 0.342 0.831
O: 0.919 0.906 0.068
O: 0.591 0.411 0.890
O: 0.077 0.075 0.895
O: 0.419 0.592 0.124

Values from the calculation:
DFT formation energy, eV/atom: -2.872
Crystal system: triclinic